P.
Compound: MgTa2Fe2O8
Source: Materials Project
Functional: PBE with a Hubbard U
Structure: optimized geometry

```
MgTa2Fe2O8
1.0
5.1482 -0.2615 -0.0207
-0.9150 5.1020 0.0545
-0.0255 0.0554 6.4509
Mg Ta Fe O
1 2 2 8
Cartesian
2.8949 2.0553 2.3333 Mg
-0.6767 3.7860 5.3573 Ta
-0.0968 1.1790 0.8301 Ta
1.1399 4.2322 2.3513 Fe
2.4063 1.1018 5.3711 Fe
0.5101 4.7275 4.1910 O
0.6785 2.3224 5.7395 O
0.9561 2.2253 2.0952 O
0.3309 4.8699 0.5653 O
4.1182 -0.1064 5.7168 O
3.3613 2.5993 4.1272 O
3.6384 2.3579 0.4864 O
3.7395 0.2443 2.0769 O
```

Q.
Compound: MgTa2Fe2O8
Source: Materials Project
Functional: PBE with a Hubbard U
Structure: optimized geometry

```
MgTa2Fe2O8
1.0
6.4587 4.5864 1.2294
0.6119 -4.5681 1.6988
7.4044 -2.7675 -1.3324
Mg Ta Fe O
1 2 2 8
Cartesian
10.7347 0.2463 0.3461 Mg
13.3060 -1.7405 1.1786 Ta
1.4525 -0.9715 0.4151 Ta
6.4087 -2.6455 1.2299 Fe
8.0464 -0.1064 0.3660 Fe
7.1747 -4.4717 0.5468 O
9.5647 -0.3802 1.8866 O
7.9540 -2.0631 -0.3658 O
4.5998 1.5503 1.2397 O
10.0323 -4.0213 0.5228 O
6.6877 -0.6821 1.9052 O
5.1313 -2.5977 -0.4604 O
7.4631 1.7616 1.1030 O
```

R.
Compound: MgTa2Fe2O8
Source: Materials Project
Functional: PBE with a Hubbard U
Structure: optimized geometry

```
MgTa2Fe2O8
1.0
-3.1381 2.5705 -2.8647
-0.4258 -4.1552 -3.0950
-4.5935 -1.9644 3.2693
Mg Ta Fe O
1 2 2 8
Cartesian
-2.0656 -3.8632 -1.0784 Mg
-4.2016 -4.7766 0.4419 Ta
-0.7904 -1.3313 -0.2870 Ta
-3.4721 -2.5085 -2.6264 Fe
-4.6961 -1.0453 -0.0563 Fe
-4.0254 -4.2955 -1.4143 O
-4.9175 -2.9890 0.9823 O
-2.6121 -1.8369 -0.8004 O
-1.6211 -3.5410 -3.0575 O
-6.5959 -0.0087 0.4148 O
-5.4998 -1.8252 -2.0016 O
-3.2914 -0.6070 -3.6414 O
-4.0868 0.8980 -1.2291 O
```

S.
Compound: MgTa2Fe2O8
Source: Materials Project
Functional: PBE with a Hubbard U
Structure: optimized geometry

```
MgTa2Fe2O8
1.0
6.5687 1.9661 -0.0238
-6.5687 1.9661 0.0238
-2.1421 0.0000 6.8432
Mg Ta Fe O
1 2 2 8
Cartesian
-3.4692 1.9661 3.3136 Mg
-5.7005 1.9661 1.4524 Ta
3.5540 1.9661 5.5297 Ta
-5.7685 1.9661 5.4247 Fe
3.5404 1.9661 1.0766 Fe
-7.7330 1.9661 6.0657 O
-5.5688 1.9661 3.3285 O
-3.2332 1.9661 5.3501 O
-3.6373 1.9661 1.3197 O
1.4991 1.9661 5.7791 O
1.1153 1.9661 1.2738 O
3.6139 1.9661 3.5618 O
5.5636 1.9661 0.8081 O
```

Which is the most stable structure? Q is the most stable.

P.
Compound: MgTi2Fe2O6
Source: Materials Project
Functional: PBE with a Hubbard U
Structure: optimized geometry

```
MgTi2Fe2O6
1.0
3.0626 -0.0018 0.0000
-1.5337 6.3024 0.0000
0.0000 0.0000 7.8965
Mg Ti Fe O
1 2 2 6
Cartesian
-0.0030 4.4894 1.9741 Mg
-0.0002 0.0042 7.8739 Ti
-0.0002 0.0042 3.9708 Ti
1.5305 1.9763 1.9741 Fe
-0.0026 4.5912 5.9224 Fe
-0.0025 4.8515 4.0058 O
-0.0025 4.8515 7.8389 O
1.5281 6.1538 5.9224 O
1.5304 1.1838 0.1259 O
1.5304 1.1838 3.8223 O
1.5283 5.9158 1.9741 O
```

Q.
Compound: MgTi2Fe2O6
Source: Materials Project
Functional: PBE with a Hubbard U
Structure: optimized geometry

```
MgTi2Fe2O6
1.0
-3.7472 -0.5381 4.4851
-3.5136 -4.5448 1.1892
0.3900 -3.6851 4.5340
Mg Ti Fe O
1 2 2 6
Cartesian
-4.4012 -5.6182 6.5350 Mg
-2.0166 -2.5868 3.0194 Ti
-5.6192 -7.1702 8.3483 Ti
-0.0323 -0.0582 0.0781 Fe
-3.2454 -4.1481 4.8282 Fe
-2.5924 -4.5968 6.9089 O
-3.7594 -6.3221 4.6566 O
-5.3137 -3.9186 5.7095 O
-4.0172 -3.5422 3.0082 O
-1.4501 -4.5267 3.8389 O
-2.5723 -2.2012 5.0989 O
```

R.
Compound: MgTi2Fe2O6
Source: Materials Project
Functional: PBE with a Hubbard U
Structure: optimized geometry

```
MgTi2Fe2O6
1.0
1.5340 1.2668 5.4456
5.3994 -0.1554 2.0400
3.1338 4.6459 1.6555
Mg Ti Fe O
1 2 2 6
Cartesian
3.0134 1.7272 2.7316 Mg
6.5608 3.7450 5.9495 Ti
4.9411 2.8236 4.4738 Ti
8.4695 4.8322 7.6974 Fe
0.6559 0.3707 0.5816 Fe
5.2121 2.0112 2.5440 O
3.6868 1.1414 4.8095 O
3.2353 3.7451 3.6567 O
4.5402 3.7031 6.2584 O
6.4697 1.8301 5.3378 O
6.1879 4.3646 4.0591 O
```

Which is the most stable structure? R is the most stable.

P.
Compound: MgTi2Fe2O6
Source: Materials Project
Functional: PBE with a Hubbard U
Structure: optimized geometry

```
MgTi2Fe2O6
1.0
0.9616 2.9399 5.0281
-3.0386 -0.3337 5.0996
1.7507 -2.1684 5.3038
Mg Ti Fe O
1 2 2 6
Cartesian
-0.3263 0.4379 15.4312 Mg
-0.2083 0.2351 10.0579 Ti
-0.1179 0.2025 5.3737 Ti
-0.3035 0.3761 12.8104 Fe
-0.0239 0.0630 2.6205 Fe
-1.4884 -0.9570 6.2833 O
-0.3937 1.9939 6.2511 O
1.5700 -0.4030 6.3753 O
1.1633 1.3941 9.1468 O
-1.8973 0.8399 9.0562 O
0.0681 -1.5553 9.1826 O
```

Q.
Compound: MgTi2Fe2O6
Source: Materials Project
Functional: PBE with a Hubbard U
Structure: optimized geometry

```
MgTi2Fe2O6
1.0
2.3318 -5.4638 0.3392
5.5562 -1.8924 -1.5066
4.2223 -1.7787 3.5385
Mg Ti Fe O
1 2 2 6
Cartesian
6.0492 -4.5785 1.2013 Mg
8.1775 -6.1823 1.5369 Ti
3.9525 -2.9115 0.8246 Ti
10.4461 -7.8903 2.0428 Fe
1.6250 -1.2114 0.3254 Fe
6.1181 -2.6096 0.5840 O
4.4738 -4.8890 -0.0961 O
4.5870 -3.9245 2.5277 O
6.0184 -6.5348 1.8436 O
7.4833 -5.1837 -0.2132 O
7.6753 -4.3267 2.4636 O
```

R.
Compound: MgTi2Fe2O6
Source: Materials Project
Functional: PBE with a Hubbard U
Structure: optimized geometry

```
MgTi2Fe2O6
1.0
2.9163 0.0005 0.0000
-1.4578 5.3085 0.0000
0.0000 0.0000 8.3933
Mg Ti Fe O
1 2 2 6
Cartesian
0.0036 4.8769 6.2950 Mg
0.0017 0.2870 0.5960 Ti
0.0017 0.2870 3.6006 Ti
1.4604 3.2070 2.0983 Fe
0.0037 2.1758 6.2950 Fe
0.0022 4.2982 3.4103 O
0.0022 4.2982 0.7863 O
1.4619 3.6365 6.2950 O
1.4599 1.0303 7.6782 O
1.4599 1.0303 4.9116 O
0.0012 1.5503 2.0983 O
```

Which is the most stable structure? P is the most stable.